Record 1
Below is a relaxed LiFeP2O7 crystal, with properties calculated at the PBE with a Hubbard U level.

Lattice parameters (Å, degrees): 7.001 8.300 9.126 90.00 114.00 90.00
Space group P2_1/c (No. 14)
Unique sites:
Li 0.212 0.054 0.339 x4
Fe 0.258 0.075 0.879 x4
P 0.035 0.734 0.966 x4
P 0.441 0.734 0.259 x4
O 0.022 0.097 0.657 x4
O 0.076 0.605 0.401 x4
O 0.126 0.249 0.959 x4
O 0.245 0.666 0.104 x4
O 0.383 0.244 0.301 x4
O 0.388 0.614 0.820 x4
O 0.482 0.589 0.380 x4

Computed properties:
Polymorph energy (0 for the lowest one) in kJ/mol of atoms: 3.66
Mass density in Mg/m³: 3.2
Formation enthalpy at 0 K in eV per formula unit: -27.37
Energy with MP2020 corrections in eV/atom: -7.5647

***

Record 2
Below is a relaxed LiFe2P3O10 crystal, with properties calculated at the PBE with a Hubbard U level.

Lattice parameters (Å, degrees): 4.704 8.701 9.098 90.00 96.45 90.00
Space group P2_1/m (No. 11)
Unique sites:
Li 0.000 0.000 0.000 x2
Fe 0.034 0.069 0.334 x4
P 0.332 0.250 0.823 x2
P 0.398 0.750 0.465 x2
P 0.459 0.250 0.142 x2
O 0.164 0.102 0.816 x4
O 0.228 0.602 0.487 x4
O 0.248 0.750 0.766 x2
O 0.284 0.103 0.157 x4
O 0.303 0.250 0.449 x2
O 0.436 0.750 0.290 x2
O 0.450 0.750 0.027 x2

Computed properties:
Mass density in Mg/m³: 3.3
Formation enthalpy at 0 K in eV per formula unit: -39.68
Energy with MP2020 corrections in eV/atom: -7.7653

***

Record 3
Below is a relaxed Li2FeP2O7 crystal, with properties calculated at the PBE with a Hubbard U level.

Lattice parameters (Å, degrees): 11.230 9.878 9.944 90.00 102.07 90.00
Space group P2_1/c (No. 14)
Unique sites:
Li 0.028 0.107 0.086 x4
Li 0.043 0.090 0.656 x4
Li 0.446 0.721 0.111 x4
Li 0.456 0.576 0.832 x4
Fe 0.179 0.712 0.246 x4
Fe 0.324 0.076 0.799 x4
P 0.108 0.204 0.381 x4
P 0.239 0.547 0.974 x4
P 0.243 0.568 0.559 x4
P 0.427 0.150 0.123 x4
O 0.001 0.134 0.277 x4
O 0.075 0.224 0.519 x4
O 0.110 0.565 0.563 x4
O 0.144 0.637 0.881 x4
O 0.154 0.171 0.816 x4
O 0.210 0.534 0.120 x4
O 0.224 0.102 0.404 x4
O 0.270 0.587 0.414 x4
O 0.295 0.079 0.113 x4
O 0.311 0.674 0.664 x4
O 0.370 0.585 0.977 x4
O 0.417 0.211 0.689 x4
O 0.448 0.160 0.976 x4
O 0.481 0.563 0.277 x4

Computed properties:
Polymorph energy (0 for the lowest one) in kJ/mol of atoms: 0.79
Mass density in Mg/m³: 3.0
Formation enthalpy at 0 K in eV per formula unit: -30.75
Energy with MP2020 corrections in eV/atom: -7.3752

***

Record 4
Below is a relaxed LiFeP3O9 crystal, with properties calculated at the PBE with a Hubbard U level.

Lattice parameters (Å, degrees): 6.413 6.430 6.444 107.23 107.13 107.79
Space group P1 (No. 1)
Unique sites:
Li 0.000 0.000 0.000 x1
Fe 0.631 0.631 0.635 x1
P 0.137 0.701 0.563 x1
P 0.566 0.140 0.700 x1
P 0.697 0.563 0.139 x1
O 0.022 0.776 0.727 x1
O 0.288 0.569 0.616 x1
O 0.291 0.939 0.539 x1
O 0.540 0.289 0.936 x1
O 0.559 0.607 0.284 x1
O 0.620 0.291 0.569 x1
O 0.728 0.022 0.774 x1
O 0.776 0.730 0.027 x1
O 0.935 0.540 0.292 x1

Computed properties:
Polymorph energy (0 for the lowest one) in kJ/mol of atoms: 3.34
Mass density in Mg/m³: 2.3
Formation enthalpy at 0 K in eV per formula unit: -35.28
Energy with MP2020 corrections in eV/atom: -7.6020

***

Record 5
Below is a relaxed LiFePO4 crystal, with properties calculated at the PBE with a Hubbard U level.

Lattice parameters (Å, degrees): 10.223 5.136 13.672 90.00 90.00 90.00
Space group Pca2_1 (No. 29)
Unique sites:
Li 0.033 0.054 0.000 x4
Li 0.214 0.550 0.250 x4
Fe 0.031 0.933 0.749 x4
Fe 0.220 0.548 0.998 x4
P 0.031 0.442 0.624 x4
P 0.218 0.051 0.375 x4
O 0.005 0.143 0.624 x4
O 0.031 0.436 0.030 x4
O 0.031 0.440 0.218 x4
O 0.067 0.003 0.376 x4
O 0.181 0.502 0.624 x4
O 0.219 0.940 0.970 x4
O 0.226 0.916 0.783 x4
O 0.249 0.348 0.372 x4

Computed properties:
Polymorph energy (0 for the lowest one) in kJ/mol of atoms: 1.34
Mass density in Mg/m³: 2.9
Formation enthalpy at 0 K in eV per formula unit: -17.26
Energy with MP2020 corrections in eV/atom: -7.5497

***

Record 6
Below is a relaxed LiFeP2O7 crystal, with properties calculated at the PBE with a Hubbard U level.

Lattice parameters (Å, degrees): 5.089 6.792 8.298 68.61 87.24 87.35
Space group P1 (No. 1)
Unique sites:
Li 0.000 0.000 0.000 x1
Li 0.490 0.642 0.557 x1
Fe 0.451 0.048 0.288 x1
Fe 0.966 0.614 0.831 x1
P 0.446 0.934 0.733 x1
P 0.491 0.277 0.867 x1
P 0.928 0.366 0.249 x1
P 0.975 0.712 0.390 x1
O 0.025 0.530 0.077 x1
O 0.114 0.176 0.322 x1
O 0.164 0.885 0.808 x1
O 0.269 0.754 0.349 x1
O 0.325 0.481 0.783 x1
O 0.362 0.118 0.031 x1
O 0.477 0.939 0.548 x1
O 0.498 0.172 0.720 x1
O 0.645 0.301 0.246 x1
O 0.652 0.788 0.851 x1
O 0.779 0.318 0.888 x1
O 0.798 0.875 0.256 x1
O 0.890 0.678 0.578 x1
O 0.920 0.481 0.388 x1

Computed properties:
Polymorph energy (0 for the lowest one) in kJ/mol of atoms: 3.36
Piezoelectric modulus e_max in C/m²: 0.8
Mass density in Mg/m³: 2.9
Formation enthalpy at 0 K in eV per formula unit: -27.40
Energy with MP2020 corrections in eV/atom: -7.5678

***

Record 7
Below is a relaxed Li3Fe2P3O12 crystal, with properties calculated at the PBE with a Hubbard U level.

Lattice parameters (Å, degrees): 8.715 8.749 15.031 90.00 125.25 90.00
Space group P2_1/c (No. 14)
Unique sites:
Li 0.038 0.229 0.318 x4
Li 0.346 0.563 0.288 x4
Li 0.384 0.232 0.186 x4
Fe 0.135 0.543 0.390 x4
Fe 0.365 0.540 0.105 x4
P 0.039 0.099 0.647 x4
P 0.254 0.609 0.648 x4
P 0.458 0.245 0.004 x4
O 0.011 0.240 0.179 x4
O 0.065 0.523 0.231 x4
O 0.093 0.597 0.663 x4
O 0.124 0.552 0.967 x4
O 0.181 0.585 0.529 x4
O 0.230 0.096 0.661 x4
O 0.269 0.161 0.925 x4
O 0.340 0.726 0.185 x4
O 0.380 0.631 0.423 x4
O 0.410 0.012 0.219 x4
O 0.437 0.163 0.585 x4
O 0.493 0.154 0.434 x4

Computed properties:
Polymorph energy (0 for the lowest one) in kJ/mol of atoms: 0.10
Mass density in Mg/m³: 3.0
Formation enthalpy at 0 K in eV per formula unit: -50.12
Energy with MP2020 corrections in eV/atom: -7.4202